Record 1
## Ca3MnZnO6 (PBE+U)

Data for a geometry-optimized Ca3MnZnO6 structure.

Values from the calculation:
The calculation puts the volume at 12.237 Å³ per atom. As for the formation energy: -2.667 eV per atom.

Unit cell a=6.461 b=6.461 c=6.461 alpha=92.03 beta=92.03 gamma=92.03
Fractional positions:
1 O 0.417 0.546 0.215
2 O 0.454 0.785 0.583
3 O 0.083 0.285 0.954
4 O 0.546 0.215 0.417
5 O 0.715 0.046 0.917
6 O 0.215 0.417 0.546
7 O 0.917 0.715 0.046
8 O 0.583 0.454 0.785
9 O 0.046 0.917 0.715
10 O 0.785 0.583 0.454
11 O 0.954 0.083 0.285
12 O 0.285 0.954 0.083
13 Mn 0.500 0.500 0.500
14 Mn 0.000 0.000 0.000
15 Ca 0.250 0.613 0.887
16 Ca 0.887 0.250 0.613
17 Ca 0.387 0.113 0.750
18 Ca 0.113 0.750 0.387
19 Ca 0.613 0.887 0.250
20 Ca 0.750 0.387 0.113
21 Zn 0.250 0.250 0.250
22 Zn 0.750 0.750 0.750

---

Record 2
## CaMo2O5 (PBE+U)

Data for a geometry-optimized CaMo2O5 structure.

Values from the calculation:
The calculation puts the volume at 16.914 Å³ per atom. As for the formation energy: -2.143 eV per atom. For the energy above the lowest structure with this stoichiometry, the calculation gives 38 meV/atom.

Unit cell a=4.255 b=5.879 c=11.605 alpha=90.00 beta=90.00 gamma=111.22
Fractional positions:
1 Ca 0.104 0.207 0.250
2 Ca 0.896 0.793 0.750
3 Mo 0.206 0.412 0.595
4 Mo 0.794 0.588 0.405
5 Mo 0.206 0.412 0.905
6 Mo 0.794 0.588 0.095
7 O 0.042 0.085 0.881
8 O 0.745 0.490 0.575
9 O 0.255 0.510 0.425
10 O 0.958 0.915 0.119
11 O 0.299 0.597 0.750
12 O 0.255 0.510 0.075
13 O 0.701 0.403 0.250
14 O 0.958 0.915 0.381
15 O 0.042 0.085 0.619
16 O 0.745 0.490 0.925

---

Record 3
## CaMo2O5 (PBE+U)

Data for a geometry-optimized CaMo2O5 structure.

Values from the calculation:
The calculation puts the volume at 15.248 Å³ per atom. As for the formation energy: -2.180 eV per atom. For the energy above the lowest structure with this stoichiometry, the calculation gives 1 meV/atom.

Unit cell a=5.215 b=3.585 c=13.518 alpha=74.91 beta=90.00 gamma=90.00
Fractional positions:
1 O 0.128 0.376 0.859
2 O 0.384 0.815 0.434
3 O 0.872 0.376 0.359
4 O 0.384 0.185 0.066
5 O 0.128 0.624 0.641
6 O 0.632 0.500 0.750
7 O 0.616 0.815 0.934
8 O 0.616 0.185 0.566
9 O 0.872 0.624 0.141
10 O 0.368 0.500 0.250
11 Mo 0.471 0.352 0.894
12 Mo 0.529 0.648 0.106
13 Mo 0.529 0.352 0.394
14 Mo 0.471 0.648 0.606
15 Ca 0.051 0.000 0.250
16 Ca 0.949 0.000 0.750

---

Record 4
## Ca2Mo2O5 (PBE+U)

Data for a geometry-optimized Ca2Mo2O5 structure.

Values from the calculation:
The calculation puts the volume at 13.378 Å³ per atom. As for the formation energy: -2.281 eV per atom.

Unit cell a=3.964 b=5.532 c=10.981 alpha=90.00 beta=90.00 gamma=90.00
Fractional positions:
1 Mo 0.000 0.336 0.903
2 Mo 0.000 0.664 0.097
3 Mo 0.000 0.836 0.597
4 Mo 0.000 0.164 0.403
5 O 0.000 0.884 0.290
6 O 0.000 0.000 0.000
7 O 0.000 0.116 0.710
8 O 0.000 0.500 0.500
9 O 0.000 0.384 0.210
10 O 0.500 0.781 0.615
11 O 0.500 0.219 0.385
12 O 0.000 0.616 0.790
13 O 0.500 0.719 0.115
14 O 0.500 0.281 0.885
15 Ca 0.500 0.352 0.649
16 Ca 0.500 0.852 0.851
17 Ca 0.500 0.648 0.351
18 Ca 0.500 0.148 0.149

---

Record 5
## CaMo2O5 (PBE+U)

Data for a geometry-optimized CaMo2O5 structure.

Values from the calculation:
The calculation puts the volume at 15.331 Å³ per atom. As for the formation energy: -2.181 eV per atom. For the energy above the lowest structure with this stoichiometry, the calculation gives 0 meV/atom.

Unit cell a=3.583 b=5.259 c=13.018 alpha=90.00 beta=90.00 gamma=90.00
Fractional positions:
1 Mo 0.000 0.035 0.856
2 Mo 0.000 0.035 0.144
3 Mo 0.500 0.965 0.356
4 Mo 0.500 0.965 0.644
5 O 0.500 0.625 0.609
6 O 0.500 0.889 0.183
7 O 0.000 0.111 0.683
8 O 0.500 0.889 0.817
9 O 0.000 0.869 0.000
10 O 0.000 0.375 0.891
11 O 0.500 0.625 0.391
12 O 0.000 0.375 0.109
13 O 0.000 0.111 0.317
14 O 0.500 0.131 0.500
15 Ca 0.500 0.554 0.000
16 Ca 0.000 0.446 0.500

---

Record 6
## CaMo5O8 (PBE+U)

Data for a geometry-optimized CaMo5O8 structure.

Values from the calculation:
The calculation puts the volume at 14.575 Å³ per atom. As for the formation energy: -1.741 eV per atom.

Unit cell a=8.458 b=9.491 c=10.743 alpha=90.00 beta=108.82 gamma=90.00
Fractional positions:
1 O 0.993 0.494 0.780
2 O 0.604 0.507 0.653
3 O 0.795 0.269 0.294
4 O 0.582 0.497 0.135
5 O 0.813 0.731 0.609
6 O 0.418 0.503 0.865
7 O 0.991 0.265 0.076
8 O 0.813 0.769 0.109
9 O 0.398 0.754 0.517
10 O 0.187 0.231 0.891
11 O 0.625 0.779 0.833
12 O 0.582 0.003 0.635
13 O 0.009 0.765 0.424
14 O 0.602 0.254 0.983
15 O 0.007 0.506 0.220
16 O 0.602 0.246 0.483
17 O 0.396 0.493 0.347
18 O 0.007 0.994 0.720
19 O 0.993 0.006 0.280
20 O 0.991 0.235 0.576
21 O 0.205 0.731 0.706
22 O 0.375 0.279 0.667
23 O 0.398 0.746 0.017
24 O 0.375 0.221 0.167
25 O 0.205 0.769 0.206
26 O 0.795 0.231 0.794
27 O 0.396 0.007 0.847
28 O 0.604 0.993 0.153
29 O 0.187 0.269 0.391
30 O 0.009 0.735 0.924
31 O 0.418 0.997 0.365
32 O 0.625 0.721 0.333
33 Mo 0.009 0.848 0.593
34 Mo 0.592 0.366 0.803
35 Mo 0.393 0.147 0.514
36 Mo 0.205 0.625 0.879
37 Mo 0.207 0.138 0.720
38 Mo 0.592 0.134 0.303
39 Mo 0.408 0.866 0.697
40 Mo 0.991 0.152 0.407
41 Mo 0.009 0.652 0.093
42 Mo 0.793 0.862 0.280
43 Mo 0.991 0.348 0.907
44 Mo 0.408 0.634 0.197
45 Mo 0.607 0.853 0.486
46 Mo 0.793 0.638 0.780
47 Mo 0.207 0.362 0.220
48 Mo 0.607 0.647 0.986
49 Mo 0.795 0.375 0.121
50 Mo 0.795 0.125 0.621
51 Mo 0.393 0.353 0.014
52 Mo 0.205 0.875 0.379
53 Ca 0.323 0.982 0.037
54 Ca 0.677 0.482 0.463
55 Ca 0.677 0.018 0.963
56 Ca 0.323 0.518 0.537

---

Record 7
## Ca2Mo3O8 (PBE+U)

Data for a geometry-optimized Ca2Mo3O8 structure.

Values from the calculation:
The calculation puts the volume at 12.916 Å³ per atom. As for the formation energy: -2.276 eV per atom. For the energy above the lowest structure with this stoichiometry, the calculation gives 175 meV/atom.

Unit cell a=6.571 b=6.571 c=5.030 alpha=75.89 beta=75.89 gamma=53.46
Fractional positions:
1 O 0.123 0.656 0.389
2 O 0.877 0.344 0.611
3 O 0.410 0.410 0.913
4 O 0.124 0.124 0.088
5 O 0.876 0.876 0.912
6 O 0.656 0.123 0.389
7 O 0.590 0.590 0.087
8 O 0.344 0.877 0.611
9 Mo 0.771 0.229 0.000
10 Mo 0.000 0.000 0.500
11 Mo 0.229 0.771 0.000
12 Ca 0.275 0.275 0.671
13 Ca 0.725 0.725 0.329

---

Record 8
## CaMoO4 (PBE+U)

Data for a geometry-optimized CaMoO4 structure.

Values from the calculation:
The calculation puts the volume at 13.628 Å³ per atom. As for the formation energy: -2.640 eV per atom.

Unit cell a=6.908 b=6.908 c=6.908 alpha=134.79 beta=134.79 gamma=65.86
Fractional positions:
1 O 0.671 0.064 0.902
2 O 0.589 0.482 0.402
3 O 0.518 0.921 0.107
4 O 0.936 0.839 0.607
5 O 0.232 0.329 0.393
6 O 0.814 0.411 0.893
7 O 0.161 0.768 0.098
8 O 0.079 0.186 0.598
9 Ca 0.250 0.750 0.500
10 Ca 0.500 0.500 0.000
11 Mo 0.000 0.000 0.000
12 Mo 0.750 0.250 0.500

---

Record 9
## CaMo3O7 (PBE+U)

Data for a geometry-optimized CaMo3O7 structure.

Values from the calculation:
The calculation puts the volume at 15.733 Å³ per atom. As for the formation energy: -1.990 eV per atom.

Unit cell a=5.804 b=11.352 c=10.507 alpha=90.00 beta=90.00 gamma=90.00
Fractional positions:
1 O 0.083 0.887 0.274
2 O 0.726 0.588 0.532
3 O 0.450 0.122 0.729
4 O 0.950 0.622 0.771
5 O 0.550 0.622 0.271
6 O 0.550 0.878 0.271
7 O 0.050 0.378 0.229
8 O 0.274 0.088 0.468
9 O 0.774 0.588 0.032
10 O 0.226 0.412 0.968
11 O 0.827 0.250 0.460
12 O 0.450 0.378 0.729
13 O 0.083 0.613 0.274
14 O 0.050 0.122 0.229
15 O 0.274 0.412 0.468
16 O 0.917 0.387 0.726
17 O 0.226 0.088 0.968
18 O 0.774 0.912 0.032
19 O 0.673 0.250 0.960
20 O 0.327 0.750 0.040
21 O 0.583 0.387 0.226
22 O 0.173 0.750 0.540
23 O 0.917 0.113 0.726
24 O 0.417 0.613 0.774
25 O 0.417 0.887 0.774
26 O 0.583 0.113 0.226
27 O 0.950 0.878 0.771
28 O 0.726 0.912 0.532
29 Ca 0.332 0.250 0.080
30 Ca 0.668 0.750 0.920
31 Ca 0.168 0.250 0.580
32 Ca 0.832 0.750 0.420
33 Mo 0.826 0.982 0.183
34 Mo 0.174 0.482 0.817
35 Mo 0.817 0.250 0.287
36 Mo 0.826 0.518 0.183
37 Mo 0.674 0.518 0.683
38 Mo 0.326 0.018 0.317
39 Mo 0.674 0.982 0.683
40 Mo 0.317 0.750 0.213
41 Mo 0.183 0.750 0.713
42 Mo 0.683 0.250 0.787
43 Mo 0.174 0.018 0.817
44 Mo 0.326 0.482 0.317

---

Record 10
## CaMoO4 (PBE+U)

Data for a geometry-optimized CaMoO4 structure.

Values from the calculation:
The calculation puts the volume at 14.035 Å³ per atom. As for the formation energy: -1.906 eV per atom.

Unit cell a=5.326 b=5.708 c=6.516 alpha=120.93 beta=82.38 gamma=94.35
Fractional positions:
1 O 0.372 0.548 0.072
2 O 0.497 0.739 0.524
3 O 0.004 0.286 0.522
4 O 0.629 0.942 0.977
5 O 0.628 0.452 0.928
6 O 0.503 0.261 0.476
7 O 0.996 0.714 0.478
8 O 0.371 0.058 0.023
9 Mo 0.728 0.587 0.661
10 Mo 0.272 0.413 0.339
11 Ca 0.252 0.132 0.717
12 Ca 0.748 0.868 0.283

---

Record 11
## Ca2Mo3O8 (PBE+U)

Data for a geometry-optimized Ca2Mo3O8 structure.

Values from the calculation:
The calculation puts the volume at 14.378 Å³ per atom. As for the formation energy: -2.451 eV per atom. For the energy above the lowest structure with this stoichiometry, the calculation gives 0 meV/atom.

Unit cell a=6.453 b=6.453 c=10.367 alpha=90.00 beta=90.00 gamma=120.00
Fractional positions:
1 Ca 0.333 0.667 0.527
2 Ca 0.667 0.333 0.027
3 Ca 0.667 0.333 0.414
4 Ca 0.333 0.667 0.914
5 O 0.948 0.474 0.855
6 O 0.323 0.162 0.158
7 O 0.838 0.677 0.158
8 O 0.474 0.526 0.355
9 O 0.000 0.000 0.347
10 O 0.838 0.162 0.158
11 O 0.162 0.323 0.658
12 O 0.000 0.000 0.847
13 O 0.677 0.838 0.658
14 O 0.474 0.948 0.355
15 O 0.667 0.333 0.636
16 O 0.162 0.838 0.658
17 O 0.526 0.052 0.855
18 O 0.333 0.667 0.136
19 O 0.052 0.526 0.355
20 O 0.526 0.474 0.855
21 Mo 0.328 0.164 0.744
22 Mo 0.164 0.836 0.244
23 Mo 0.836 0.164 0.744
24 Mo 0.672 0.836 0.244
25 Mo 0.836 0.672 0.744
26 Mo 0.164 0.328 0.244

---

no.,E_tot (eV/atom),theoretical density (g cm⁻³)
1,-6.33,4.15
2,-6.97,3.83
3,-7.00,4.25
4,-6.79,4.86
5,-7.01,4.22
6,-7.05,5.27
7,-6.97,4.91
8,-7.09,4.06
9,-6.97,4.22
10,-6.50,3.94
11,-7.15,4.41